# 1
# NbPd3 (r2SCAN, optimized geometry)
# - Energy relative to the elements: -0.42 eV/atom
data_NbPd3
_chemical_formula_sum 'Nb2 Pd6'
_cell_length_a 3.9165
_cell_length_b 3.9165
_cell_length_c 8.0361
_cell_angle_alpha 90.00
_cell_angle_beta 90.00
_cell_angle_gamma 90.00
_symmetry_space_group_name_H-M 'I 4/m m m'
_symmetry_Int_Tables_number 139
_symmetry_space_group_name_Hall '-I 4 2'
loop_
_atom_site_label
_atom_site_type_symbol
_atom_site_fract_x
_atom_site_fract_y
_atom_site_fract_z
_atom_site_occupancy
Nb1 Nb 0.0000 0.0000 0.0000 1
Pd1 Pd 0.0000 0.0000 0.5000 1
Pd2 Pd 0.0000 0.5000 0.2500 1

---

# 2
# SiO2 (r2SCAN, optimized geometry)
# - Energy relative to the elements: -3.02 eV/atom
data_SiO2
_chemical_formula_sum 'Si8 O16'
_cell_length_a 7.1418
_cell_length_b 7.1418
_cell_length_c 8.8209
_cell_angle_alpha 90.00
_cell_angle_beta 90.00
_cell_angle_gamma 90.00
_symmetry_space_group_name_H-M 'P 42/m m c'
_symmetry_Int_Tables_number 131
_symmetry_space_group_name_Hall '-P 4c 2'
loop_
_atom_site_label
_atom_site_type_symbol
_atom_site_fract_x
_atom_site_fract_y
_atom_site_fract_z
_atom_site_occupancy
Si1 Si 0.0000 0.2819 0.1809 1
O1 O 0.0000 0.2564 0.0000 1
O2 O 0.0000 0.5000 0.2247 1
O3 O 0.1853 0.1853 0.2500 1

---

# 3
# U2SnIr2 (r2SCAN, optimized geometry)
# - Energy relative to the elements: -0.69 eV/atom
data_U2SnIr2
_chemical_formula_sum 'U4 Sn2 Ir4'
_cell_length_a 7.6504
_cell_length_b 7.6504
_cell_length_c 3.6249
_cell_angle_alpha 90.00
_cell_angle_beta 90.00
_cell_angle_gamma 90.00
_symmetry_space_group_name_H-M 'P 4/m b m'
_symmetry_Int_Tables_number 127
_symmetry_space_group_name_Hall '-P 4 2ab'
loop_
_atom_site_label
_atom_site_type_symbol
_atom_site_fract_x
_atom_site_fract_y
_atom_site_fract_z
_atom_site_occupancy
U1 U 0.1695 0.3305 0.0000 1
Sn1 Sn 0.0000 0.0000 0.5000 1
Ir1 Ir 0.1363 0.6363 0.5000 1

---

# 4
# BW2 (r2SCAN, optimized geometry)
# - Energy relative to the elements: -0.25 eV/atom
data_BW2
_chemical_formula_sum 'B4 W8'
_cell_length_a 5.5672
_cell_length_b 5.5672
_cell_length_c 4.7659
_cell_angle_alpha 90.00
_cell_angle_beta 90.00
_cell_angle_gamma 90.00
_symmetry_space_group_name_H-M 'I 4/m c m'
_symmetry_Int_Tables_number 140
_symmetry_space_group_name_Hall '-I 4 2c'
loop_
_atom_site_label
_atom_site_type_symbol
_atom_site_fract_x
_atom_site_fract_y
_atom_site_fract_z
_atom_site_occupancy
B1 B 0.0000 0.0000 0.2500 1
W1 W 0.1703 0.3297 0.0000 1

---

# 5
# TbGe2Pd (r2SCAN, optimized geometry)
# - Energy relative to the elements: -0.82 eV/atom
data_TbGe2Pd
_chemical_formula_sum 'Tb8 Ge16 Pd8'
_cell_length_a 16.9726
_cell_length_b 8.7248
_cell_length_c 4.3150
_cell_angle_alpha 90.00
_cell_angle_beta 104.70
_cell_angle_gamma 90.00
_symmetry_space_group_name_H-M 'C 1 2/m 1'
_symmetry_Int_Tables_number 12
loop_
_symmetry_equiv_pos_as_xyz
'x,y,z'
'-x,-y,-z'
'-x,y,-z'
'x,-y,z'
'x+1/2,y+1/2,z'
'-x+1/2,-y+1/2,-z'
'-x+1/2,y+1/2,-z'
'x+1/2,-y+1/2,z'
loop_
_atom_site_label
_atom_site_type_symbol
_atom_site_fract_x
_atom_site_fract_y
_atom_site_fract_z
_atom_site_occupancy
Tb1 Tb 0.0000 0.2413 0.0000 1
Tb2 Tb 0.2011 0.0000 0.2015 1
Ge1 Ge 0.0738 0.0000 0.5755 1
Ge2 Ge 0.0736 0.5000 0.5735 1
Ge3 Ge 0.1986 0.3504 0.1987 1
Pd1 Pd 0.1481 0.2514 0.6480 1

---

# 6
# MgAg5 (r2SCAN, optimized geometry)
# - Energy relative to the elements: -0.08 eV/atom
data_MgAg5
_chemical_formula_sum 'Mg3 Ag15'
_cell_length_a 5.0256
_cell_length_b 5.0256
_cell_length_c 14.3495
_cell_angle_alpha 90.00
_cell_angle_beta 90.00
_cell_angle_gamma 120.00
_symmetry_space_group_name_H-M 'R 3 2'
_symmetry_Int_Tables_number 155
_symmetry_space_group_name_Hall 'R 3 2"'
loop_
_atom_site_label
_atom_site_type_symbol
_atom_site_fract_x
_atom_site_fract_y
_atom_site_fract_z
_atom_site_occupancy
Mg1 Mg 0.0000 0.0000 0.0000 1
Ag1 Ag 0.0000 0.0000 0.3326 1
Ag2 Ag 0.0000 0.6678 0.5000 1